# La4Sm4Co7CuO24 (PBE with a Hubbard U, optimized geometry)
data_La4Sm4Co7CuO24
_space_group_name_H-M_alt 'C 1 m 1'
_space_group_IT_number 8
_space_group_name_Hall 'C -2y'
_cell_length_a 10.813
_cell_length_b 10.840
_cell_length_c 7.651
_cell_angle_alpha 90.00
_cell_angle_beta 90.12
_cell_angle_gamma 90.00
loop_
_atom_site_label
_atom_site_type_symbol
_atom_site_fract_x
_atom_site_fract_y
_atom_site_fract_z
La1 La 0.000 0.000 0.000
La2 La 0.001 0.500 0.498
La3 La 0.250 0.250 0.498
Sm1 Sm 0.000 0.000 0.499
Sm2 Sm 0.001 0.500 0.000
Sm3 Sm 0.251 0.250 0.000
Co1 Co 0.000 0.250 0.249
Co2 Co 0.000 0.250 0.750
Co3 Co 0.250 0.000 0.750
Co4 Co 0.250 0.500 0.749
Co5 Co 0.251 0.500 0.248
Cu1 Cu 0.250 0.000 0.249
O1 O 0.000 0.252 0.000
O2 O 0.001 0.248 0.498
O3 O 0.123 0.127 0.249
O4 O 0.124 0.373 0.246
O5 O 0.126 0.124 0.749
O6 O 0.126 0.376 0.753
O7 O 0.249 0.000 0.503
O8 O 0.249 0.500 0.995
O9 O 0.252 0.000 0.995
O10 O 0.252 0.500 0.503
O11 O 0.375 0.124 0.753
O12 O 0.375 0.376 0.750
O13 O 0.377 0.127 0.244
O14 O 0.377 0.373 0.249
# **Magnetic moment**: 2.92 μB/f.u.
# **Total energy**: -7.035 eV per atom
# **Formation energy**: -2.453 eV/atom
# **Calculated volume**: 11.209 Å³/atom